Material: BeRu3
Method: DFT, GGA-PBE
State: optimized geometry

a = 4.7065 Å, b = 4.7065 Å, c = 4.7065 Å
α = 134.88°, β = 134.88°, γ = 65.72°
Last column: nearest neighbours and their distance in Å.
Fractional positions:
Be: 0.0000 0.0000 0.0000  12 Ru 2.55-2.68
Ru: 0.7500 0.2500 0.5000  8 Ru 2.55-2.68, 4 Be 2.68
Ru: 0.2500 0.7500 0.5000  8 Ru 2.55-2.68, 4 Be 2.68
Ru: 0.5000 0.5000 0.0000  4 Be 2.55, 8 Ru 2.68

Computed properties:
Calculated total energy = -7.80 eV/atom
Energy of formation from the pure elements = 0.092 eV per atom
Total moment = 0.00 μB per formula unit
Volume = 52 Å³ per cell


Material: BeS
Method: DFT, GGA-PBE
State: optimized geometry

a = 3.4468 Å, b = 3.4468 Å, c = 3.4468 Å
α = 60.00°, β = 60.00°, γ = 60.00°
Last column: nearest neighbours and their distance in Å.
Fractional positions:
Be: 0.0000 0.0000 0.0000  4 S 2.11
S: 0.2500 0.2500 0.2500  4 Be 2.11

Computed properties:
Calculated total energy = -4.99 eV/atom
Piezoelectric modulus e_max = 0.2 C/m2
Energy of formation from the pure elements = -1.308 eV per atom
Volume = 29 Å³ per cell


Material: Be3S
Method: DFT, GGA-PBE
State: optimized geometry

a = 4.4476 Å, b = 4.4476 Å, c = 5.7980 Å
α = 90.00°, β = 90.00°, γ = 120.00°
Last column: nearest neighbours and their distance in Å.
Fractional positions:
Be: 0.1661 0.3322 0.2500  4 Be 2.22-2.23, 2 S 2.22
Be: 0.6678 0.8339 0.2500  4 Be 2.22-2.23, 2 S 2.22
Be: 0.1661 0.8339 0.2500  4 Be 2.22-2.23, 2 S 2.22
Be: 0.8339 0.6678 0.7500  4 Be 2.22-2.23, 2 S 2.22
Be: 0.3322 0.1661 0.7500  4 Be 2.22-2.23, 2 S 2.22
Be: 0.8339 0.1661 0.7500  4 Be 2.22-2.23, 2 S 2.22
S: 0.3333 0.6667 0.7500  6 Be 2.22
S: 0.6667 0.3333 0.2500  6 Be 2.22

Computed properties:
Calculated total energy = -3.41 eV/atom
Energy of formation from the pure elements = 0.298 eV per atom
Total moment = 0.00 μB per formula unit
Volume = 99 Å³ per cell


Material: Sc2Be17
Method: DFT, GGA-PBE
State: optimized geometry

a = 7.5215 Å, b = 7.5215 Å, c = 7.3284 Å
α = 90.00°, β = 90.00°, γ = 120.00°
Last column: nearest neighbours and their distance in Å.
Fractional positions:
Sc: 0.0000 0.0000 0.2500  18 Be 2.69-2.89
Sc: 0.0000 0.0000 0.7500  18 Be 2.69-2.89
Sc: 0.3333 0.6667 0.2500  20 Be 2.60-2.84
Sc: 0.6667 0.3333 0.7500  20 Be 2.60-2.84
Be: 0.1662 0.3324 0.0115  9 Be 2.17-2.37
Be: 0.8338 0.6676 0.9885  9 Be 2.17-2.37
Be: 0.6676 0.8338 0.0115  9 Be 2.17-2.37
Be: 0.8338 0.6676 0.5115  9 Be 2.17-2.37
Be: 0.3324 0.1662 0.9885  9 Be 2.17-2.37
Be: 0.1662 0.3324 0.4885  9 Be 2.17-2.37
Be: 0.1662 0.8338 0.0115  9 Be 2.17-2.37
Be: 0.3324 0.1662 0.5115  9 Be 2.17-2.37
Be: 0.8338 0.1662 0.9885  9 Be 2.17-2.37
Be: 0.6676 0.8338 0.4885  9 Be 2.17-2.37
Be: 0.8338 0.1662 0.5115  9 Be 2.17-2.37
Be: 0.1662 0.8338 0.4885  9 Be 2.17-2.37
Be: 0.3333 0.6667 0.6052  7 Be 2.12-2.34
Be: 0.6667 0.3333 0.3948  7 Be 2.12-2.34
Be: 0.6667 0.3333 0.1052  7 Be 2.12-2.34
Be: 0.3333 0.6667 0.8948  7 Be 2.12-2.34
Be: 0.9532 0.3315 0.2500  8 Be 2.14-2.37
Be: 0.0468 0.6685 0.7500  8 Be 2.14-2.37
Be: 0.6685 0.6217 0.2500  8 Be 2.14-2.37
Be: 0.3315 0.9532 0.7500  8 Be 2.14-2.37
Be: 0.3315 0.3783 0.7500  8 Be 2.14-2.37
Be: 0.6685 0.0468 0.2500  8 Be 2.14-2.37
Be: 0.3783 0.0468 0.2500  8 Be 2.14-2.37
Be: 0.6217 0.6685 0.7500  8 Be 2.14-2.37
Be: 0.6217 0.9532 0.7500  8 Be 2.14-2.37
Be: 0.3783 0.3315 0.2500  8 Be 2.14-2.37
Be: 0.0468 0.3783 0.7500  8 Be 2.14-2.37
Be: 0.9532 0.6217 0.2500  8 Be 2.14-2.37
Be: 0.5000 0.0000 0.0000  10 Be 2.15-2.30
Be: 0.0000 0.5000 0.0000  10 Be 2.15-2.30
Be: 0.5000 0.0000 0.5000  10 Be 2.15-2.30
Be: 0.5000 0.5000 0.0000  10 Be 2.15-2.30
Be: 0.0000 0.5000 0.5000  10 Be 2.15-2.30
Be: 0.5000 0.5000 0.5000  10 Be 2.15-2.30

Computed properties:
Calculated total energy = -4.19 eV/atom
Energy of formation from the pure elements = -0.174 eV per atom
Volume = 359 Å³ per cell


Material: ScBe5
Method: DFT, GGA-PBE
State: optimized geometry

a = 3.5277 Å, b = 4.5173 Å, c = 4.5173 Å
α = 120.00°, β = 90.00°, γ = 90.00°
Last column: nearest neighbours and their distance in Å.
Fractional positions:
Sc: 0.0000 0.0000 0.0000  18 Be 2.61-2.87
Be: 0.0000 0.3333 0.6667  6 Be 2.19
Be: 0.0000 0.6667 0.3333  6 Be 2.19
Be: 0.5000 0.0000 0.5000  8 Be 2.19-2.26
Be: 0.5000 0.5000 0.5000  8 Be 2.19-2.26
Be: 0.5000 0.5000 0.0000  8 Be 2.19-2.26

Computed properties:
Calculated total energy = -4.37 eV/atom
Energy of formation from the pure elements = -0.195 eV per atom
Volume = 62 Å³ per cell


Material: SrScBe
Method: DFT, GGA-PBE
State: optimized geometry

a = 4.9132 Å, b = 4.9132 Å, c = 4.9132 Å
α = 60.00°, β = 60.00°, γ = 60.00°
Last column: nearest neighbours and their distance in Å.
Fractional positions:
Sr: 0.2500 0.2500 0.2500  4 Sc 3.01, 4 Be 3.01
Sc: 0.5000 0.5000 0.5000  4 Sr 3.01
Be: 0.0000 0.0000 0.0000  4 Sr 3.01

Computed properties:
Calculated total energy = -2.63 eV/atom
Energy of formation from the pure elements = 1.290 eV per atom
Total moment = 0.01 μB per formula unit
Volume = 84 Å³ per cell


Material: BeTcSe
Method: DFT, GGA-PBE
State: optimized geometry

a = 3.9158 Å, b = 3.9158 Å, c = 3.9158 Å
α = 60.00°, β = 60.00°, γ = 60.00°
Last column: nearest neighbours and their distance in Å.
Fractional positions:
Be: 0.7500 0.7500 0.7500  4 Se 2.40, 4 Tc 2.40
Tc: 0.5000 0.5000 0.5000  4 Be 2.40
Se: 0.0000 0.0000 0.0000  4 Be 2.40

Computed properties:
Calculated total energy = -5.29 eV/atom
Energy of formation from the pure elements = 0.417 eV per atom
Total moment = 0.00 μB per formula unit
Volume = 42 Å³ per cell


Material: Be2Si
Method: DFT, GGA-PBE
State: optimized geometry

a = 3.7335 Å, b = 3.7335 Å, c = 3.7335 Å
α = 60.00°, β = 60.00°, γ = 60.00°
Last column: nearest neighbours and their distance in Å.
Fractional positions:
Be: 0.7500 0.7500 0.7500  4 Si 2.29
Be: 0.2500 0.2500 0.2500  4 Si 2.29
Si: 0.0000 0.0000 0.0000  8 Be 2.29

Computed properties:
Calculated total energy = -4.07 eV/atom
Energy of formation from the pure elements = 0.259 eV per atom
Total moment = 0.00 μB per formula unit
Volume = 37 Å³ per cell


Material: SrBeSi
Method: DFT, GGA-PBE
State: optimized geometry

a = 4.0284 Å, b = 4.0284 Å, c = 4.6023 Å
α = 90.00°, β = 90.00°, γ = 120.00°
Last column: nearest neighbours and their distance in Å.
Fractional positions:
Sr: 0.3333 0.6667 0.0000  6 Si 3.27, 6 Be 3.27
Be: 0.6667 0.3333 0.5000  3 Si 2.33
Si: 0.0000 0.0000 0.5000  3 Be 2.33

Computed properties:
Calculated total energy = -3.87 eV/atom
Energy of formation from the pure elements = -0.230 eV per atom
Total moment = 0.00 μB per formula unit
Volume = 65 Å³ per cell


Material: ZrBeSi
Method: DFT, GGA-PBE
State: optimized geometry

a = 3.7445 Å, b = 3.7445 Å, c = 7.2546 Å
α = 90.00°, β = 90.00°, γ = 120.00°
Last column: nearest neighbours and their distance in Å.
Fractional positions:
Zr: 0.0000 0.0000 0.5000  6 Be 2.82, 6 Si 2.82
Zr: 0.0000 0.0000 0.0000  6 Be 2.82, 6 Si 2.82
Be: 0.6667 0.3333 0.7500  3 Si 2.16
Be: 0.3333 0.6667 0.2500  3 Si 2.16
Si: 0.6667 0.3333 0.2500  3 Be 2.16
Si: 0.3333 0.6667 0.7500  3 Be 2.16

Computed properties:
Calculated total energy = -6.65 eV/atom
Energy of formation from the pure elements = -0.723 eV per atom
Volume = 88 Å³ per cell


Material: SrBe13
Method: DFT, GGA-PBE
State: optimized geometry

a = 7.3482 Å, b = 7.3482 Å, c = 7.3482 Å
α = 60.00°, β = 60.00°, γ = 60.00°
Last column: nearest neighbours and their distance in Å.
Fractional positions:
Sr: 0.7500 0.7500 0.7500  24 Be 3.07
Sr: 0.2500 0.2500 0.2500  24 Be 3.07
Be: 0.5000 0.5000 0.5000  12 Be 2.16
Be: 0.0000 0.0000 0.0000  12 Be 2.16
Be: 0.5652 0.7861 0.4348  10 Be 2.16-2.32
Be: 0.2861 0.0652 0.9348  10 Be 2.16-2.32
Be: 0.0652 0.2861 0.7139  10 Be 2.16-2.32
Be: 0.7139 0.0652 0.2861  10 Be 2.16-2.32
Be: 0.2861 0.9348 0.7139  10 Be 2.16-2.32
Be: 0.0652 0.9348 0.2861  10 Be 2.16-2.32
Be: 0.7139 0.2861 0.9348  10 Be 2.16-2.32
Be: 0.4348 0.5652 0.7861  10 Be 2.16-2.32
Be: 0.7861 0.4348 0.5652  10 Be 2.16-2.32
Be: 0.5652 0.2139 0.7861  10 Be 2.16-2.32
Be: 0.5652 0.4348 0.2139  10 Be 2.16-2.32
Be: 0.7861 0.2139 0.4348  10 Be 2.16-2.32
Be: 0.2139 0.5652 0.4348  10 Be 2.16-2.32
Be: 0.2139 0.7861 0.5652  10 Be 2.16-2.32
Be: 0.4348 0.7861 0.2139  10 Be 2.16-2.32
Be: 0.9348 0.2861 0.0652  10 Be 2.16-2.32
Be: 0.9348 0.7139 0.2861  10 Be 2.16-2.32
Be: 0.2861 0.7139 0.0652  10 Be 2.16-2.32
Be: 0.9348 0.0652 0.7139  10 Be 2.16-2.32
Be: 0.7139 0.9348 0.0652  10 Be 2.16-2.32
Be: 0.0652 0.7139 0.9348  10 Be 2.16-2.32
Be: 0.7861 0.5652 0.2139  10 Be 2.16-2.32
Be: 0.4348 0.2139 0.5652  10 Be 2.16-2.32
Be: 0.2139 0.4348 0.7861  10 Be 2.16-2.32

Computed properties:
Calculated total energy = -3.64 eV/atom
Energy of formation from the pure elements = -0.051 eV per atom
Volume = 281 Å³ per cell


Material: Ta3Be2
Method: DFT, GGA-PBE
State: optimized geometry

a = 6.5053 Å, b = 6.5053 Å, c = 3.3653 Å
α = 90.00°, β = 90.00°, γ = 90.00°
Last column: nearest neighbours and their distance in Å.
Fractional positions:
Ta: 0.5000 0.5000 0.0000  4 Be 2.62, 8 Ta 2.92
Ta: 0.0000 0.0000 0.0000  4 Be 2.62, 8 Ta 2.92
Ta: 0.6791 0.1791 0.5000  6 Be 2.54-2.58
Ta: 0.3209 0.8209 0.5000  6 Be 2.54-2.58
Ta: 0.1791 0.3209 0.5000  6 Be 2.54-2.58
Ta: 0.8209 0.6791 0.5000  6 Be 2.54-2.58
Be: 0.1142 0.6142 0.0000  1 Be 2.10
Be: 0.8858 0.3858 0.0000  1 Be 2.10
Be: 0.6142 0.8858 0.0000  1 Be 2.10
Be: 0.3858 0.1142 0.0000  1 Be 2.10

Computed properties:
Calculated total energy = -8.79 eV/atom
Energy of formation from the pure elements = -0.179 eV per atom
Volume = 142 Å³ per cell